No. 1
A relaxed MgZrRh2 crystal. Source: the Materials Project, functional r²SCAN.

Calculated values
For the spin magnetization, the calculation gives 0.000 μB per formula unit.

Cell lengths 4.5039, 4.5039, 4.5039 Å; angles 60.00, 60.00, 60.00 degrees
Sites, in units of the cell vectors:
Mg: 0.0000 0.0000 0.0000
Zr: 0.5000 0.5000 0.5000
Rh: 0.2500 0.2500 0.2500
Rh: 0.7500 0.7500 0.7500

No. 2
A relaxed Mg3Ru2 crystal. Source: the Materials Project, functional r²SCAN.

Calculated values
For the spin magnetization, the calculation gives 0.000 μB per formula unit.

Cell lengths 6.9054, 6.9054, 6.9054 Å; angles 90.00, 90.00, 90.00 degrees
Sites, in units of the cell vectors:
Mg: 0.0439 0.1250 0.7939
Mg: 0.1250 0.7939 0.0439
Mg: 0.2061 0.5439 0.3750
Mg: 0.2939 0.4561 0.8750
Mg: 0.3750 0.2061 0.5439
Mg: 0.4561 0.8750 0.2939
Mg: 0.5439 0.3750 0.2061
Mg: 0.6250 0.7061 0.9561
Mg: 0.7061 0.9561 0.6250
Mg: 0.7939 0.0439 0.1250
Mg: 0.8750 0.2939 0.4561
Mg: 0.9561 0.6250 0.7061
Ru: 0.0750 0.9250 0.4250
Ru: 0.1750 0.1750 0.1750
Ru: 0.3250 0.8250 0.6750
Ru: 0.4250 0.0750 0.9250
Ru: 0.5750 0.5750 0.5750
Ru: 0.6750 0.3250 0.8250
Ru: 0.8250 0.6750 0.3250
Ru: 0.9250 0.4250 0.0750

No. 3
A relaxed MgSbRu2 crystal. Source: the Materials Project, functional r²SCAN.

Calculated values
For the spin magnetization, the calculation gives 0.000 μB per formula unit.

Cell lengths 4.4230, 4.4230, 4.4230 Å; angles 60.00, 60.00, 60.00 degrees
Sites, in units of the cell vectors:
Mg: 0.0000 0.0000 0.0000
Sb: 0.5000 0.5000 0.5000
Ru: 0.2500 0.2500 0.2500
Ru: 0.7500 0.7500 0.7500

No. 4
A relaxed MgSc3Ru2 crystal. Source: the Materials Project, functional r²SCAN.

Calculated values
For the spin magnetization, the calculation gives 0.000 μB per formula unit.

Cell lengths 3.2411, 3.2411, 10.8343 Å; angles 90.00, 90.00, 90.00 degrees
Sites, in units of the cell vectors:
Mg: 0.0000 0.0000 0.0000
Sc: 0.5000 0.5000 0.2146
Sc: 0.5000 0.5000 0.5000
Sc: 0.5000 0.5000 0.7854
Ru: 0.0000 0.0000 0.3474
Ru: 0.0000 0.0000 0.6526

No. 5
A relaxed MgURu2 crystal. Source: the Materials Project, functional r²SCAN.

Calculated values
For the spin magnetization, the calculation gives 1.454 μB per formula unit.

Cell lengths 4.5830, 4.5830, 4.5830 Å; angles 60.00, 60.00, 60.00 degrees
Sites, in units of the cell vectors:
Mg: 0.0000 0.0000 0.0000
U: 0.5000 0.5000 0.5000
Ru: 0.2500 0.2500 0.2500
Ru: 0.7500 0.7500 0.7500

No. 6
A relaxed MgS crystal. Source: the Materials Project, functional r²SCAN.

Calculated values
For the spin magnetization, the calculation gives 0.000 μB per formula unit.

Cell lengths 3.6832, 3.6832, 3.6832 Å; angles 60.00, 60.00, 60.00 degrees
Sites, in units of the cell vectors:
Mg: 0.0000 0.0000 0.0000
S: 0.5000 0.5000 0.5000

No. 7
A relaxed MgS3 crystal. Source: the Materials Project, functional r²SCAN.

Calculated values
For the spin magnetization, the calculation gives 0.000 μB per formula unit.

Cell lengths 4.2306, 4.8304, 3.6644 Å; angles 90.00, 90.00, 90.00 degrees
Sites, in units of the cell vectors:
Mg: 0.0000 0.0000 0.0000
S: 0.0000 0.5000 0.2354
S: 0.5000 0.0000 0.5449
S: 0.5000 0.5000 0.4470

No. 8
A relaxed MgS crystal. Source: the Materials Project, functional r²SCAN.

Calculated values
For the spin magnetization, the calculation gives 0.000 μB per formula unit.

Cell lengths 4.0346, 4.0346, 6.4323 Å; angles 90.00, 90.00, 120.00 degrees
Sites, in units of the cell vectors:
Mg: 0.3333 0.6667 0.0000
Mg: 0.6667 0.3333 0.5000
S: 0.3333 0.6667 0.3835
S: 0.6667 0.3333 0.8835

No. 9
A relaxed MgS crystal. Source: the Materials Project, functional r²SCAN.

Calculated values
For the spin magnetization, the calculation gives 0.000 μB per formula unit.

Cell lengths 4.0066, 4.0066, 4.0066 Å; angles 60.00, 60.00, 60.00 degrees
Sites, in units of the cell vectors:
Mg: 0.0000 0.0000 0.0000
S: 0.7500 0.7500 0.7500

No. 10
A relaxed SmMg2Ti3S8 crystal. Source: the Materials Project, functional r²SCAN.

Calculated values
For the spin magnetization, the calculation gives 3.001 μB per formula unit.

Cell lengths 7.6191, 7.6191, 7.6191 Å; angles 58.01, 58.01, 58.01 degrees
Sites, in units of the cell vectors:
Sm: 0.0000 0.0000 0.0000
Mg: 0.3716 0.3716 0.3716
Mg: 0.6284 0.6284 0.6284
Ti: 0.0000 0.0000 0.5000
Ti: 0.0000 0.5000 0.0000
Ti: 0.5000 0.0000 0.0000
S: 0.2290 0.7433 0.7433
S: 0.2403 0.2403 0.2403
S: 0.2567 0.2567 0.7710
S: 0.2567 0.7710 0.2567
S: 0.7433 0.2290 0.7433
S: 0.7433 0.7433 0.2290
S: 0.7597 0.7597 0.7597
S: 0.7710 0.2567 0.2567

No. 11
A relaxed Tb2MgS4 crystal. Source: the Materials Project, functional r²SCAN.

Calculated values
For the spin magnetization, the calculation gives 0.000 μB per formula unit.

Cell lengths 6.5266, 6.5266, 12.8685 Å; angles 90.00, 90.00, 146.21 degrees
Sites, in units of the cell vectors:
Tb: 0.1183 0.8817 0.5000
Tb: 0.3623 0.6377 0.7017
Tb: 0.6377 0.3623 0.2017
Tb: 0.8817 0.1183 0.0000
Mg: 0.3736 0.6264 0.3382
Mg: 0.6264 0.3736 0.8382
S: 0.0116 0.9884 0.2886
S: 0.2611 0.7389 0.8886
S: 0.2898 0.7102 0.1492
S: 0.4627 0.5373 0.5157
S: 0.5373 0.4627 0.0157
S: 0.7102 0.2898 0.6492
S: 0.7389 0.2611 0.3886
S: 0.9884 0.0116 0.7886

No. 12
A relaxed Tb2MgS4 crystal. Source: the Materials Project, functional r²SCAN.

Calculated values
For the spin magnetization, the calculation gives 0.000 μB per formula unit.

Cell lengths 7.8997, 7.8997, 7.8997 Å; angles 60.00, 60.00, 60.00 degrees
Sites, in units of the cell vectors:
Tb: 0.0000 0.0000 0.0000
Tb: 0.0000 0.0000 0.5000
Tb: 0.0000 0.5000 0.0000
Tb: 0.5000 0.0000 0.0000
Mg: 0.3750 0.3750 0.3750
Mg: 0.6250 0.6250 0.6250
S: 0.2370 0.7543 0.7543
S: 0.2457 0.2457 0.2457
S: 0.2457 0.2457 0.7630
S: 0.2457 0.7630 0.2457
S: 0.7543 0.2370 0.7543
S: 0.7543 0.7543 0.2370
S: 0.7543 0.7543 0.7543
S: 0.7630 0.2457 0.2457

Energy relative to the elements list, top to bottom, in kJ per mole of atoms: -82.5; -13.2; -22.6; -46.2; -23.8; -160.2; -47.2; -157.7; -156.8; -160.9; -209.0; -209.0